Entry from the Materials Project database: crystalline Co2OF3 at its relaxed geometry (PBE+U).

Results
Energy relative to the lowest polymorph listed for this composition, meV/atom: 47.1
Total energy after the MP2020 corrections, eV per atom: -6.08
Volume, A^3/atom: 11.520
E_form, eV per atom: -1.9331

```
30
Lattice="4.678 0.000 0.000 0.162 5.617 0.000 0.299 2.604 13.151" Properties=species:S:1:pos:R:3 pbc="T T T"
Co 2.232 2.856 0.206
Co 2.557 4.985 5.297
Co 2.594 3.247 7.899
Co 2.404 1.060 2.605
Co 2.973 7.161 10.442
Co 0.153 2.165 5.256
Co 4.947 4.252 10.551
Co 4.716 3.995 2.678
Co 0.390 6.044 7.906
Co 5.053 8.181 13.031
O 4.028 2.628 11.236
O 3.707 7.269 8.586
O 3.460 5.042 3.447
O 1.456 2.795 1.819
O 1.689 4.854 7.170
F 3.873 2.263 3.418
F 3.831 3.987 0.794
F 4.088 6.125 6.078
F 4.039 4.475 8.711
F 3.289 1.224 0.748
F 3.449 3.322 6.096
F 3.572 5.458 11.426
F 1.714 3.140 9.660
F 1.853 7.012 12.313
F 1.522 0.982 4.465
F 1.055 5.544 1.765
F 1.270 4.223 12.346
F 1.155 2.050 7.081
F 1.334 5.975 9.777
F 1.092 3.805 4.463
```

Entry from the Materials Project database: crystalline LiMnCuO4 at its relaxed geometry (PBE+U).

Results
Total energy after the MP2020 corrections, eV per atom: -6.63
Volume, A^3/atom: 10.187
E_form, eV per atom: -1.6325

```
14
Lattice="-2.885 2.926 4.224 2.885 -2.926 4.224 2.885 2.926 -4.224" Properties=species:S:1:pos:R:3 pbc="T T T"
Li 2.885 1.463 -1.020
Li 0.000 1.463 5.243
Mn -1.443 1.463 2.112
Mn 1.443 1.463 2.112
Cu 0.000 0.000 0.000
Cu 0.000 2.926 0.000
O 1.575 -1.463 4.410
O 0.000 0.179 2.119
O 0.000 2.746 2.119
O 1.310 1.463 0.187
O 1.575 1.463 4.037
O 2.885 2.746 2.105
O 2.885 0.179 2.105
O 1.310 4.389 -0.187
```

Entry from the Materials Project database: crystalline Na2VBPO7 at its relaxed geometry (PBE+U).

Results
Energy relative to the lowest polymorph listed for this composition, meV/atom: 1.6
Total energy after the MP2020 corrections, eV per atom: -7.43
Volume, A^3/atom: 13.593
E_form, eV per atom: -2.5566

```
48
Lattice="-7.634 -3.453 1.147 4.830 -6.490 2.457 -0.283 2.676 8.866" Properties=species:S:1:pos:R:3 pbc="T T T"
Na -1.773 -5.595 4.116
Na -0.379 -0.622 2.222
Na 1.289 -6.363 4.393
Na -4.905 -4.810 3.735
Na -4.375 -0.904 8.077
Na 1.817 -2.459 8.734
Na -1.313 -1.671 8.355
Na -2.708 -6.643 10.247
V 0.366 -3.333 4.559
V -3.450 -3.934 7.912
V -5.863 -1.831 3.979
V 2.780 -5.437 8.491
B -0.890 -8.777 4.049
B 0.513 -3.753 2.199
B -2.196 1.511 8.421
B -3.600 -3.514 10.273
P -2.701 -2.079 5.065
P -4.124 -7.065 6.865
P -0.385 -5.188 7.406
P 1.040 -0.202 5.605
O -2.044 -1.059 0.849
O -3.383 -5.993 2.693
O -1.042 -6.207 11.621
O 0.297 -1.274 9.778
O -6.059 -3.218 2.574
O 0.183 -4.688 3.237
O 2.972 -4.048 9.895
O -3.270 -2.579 9.235
O -0.682 -7.525 4.807
O 0.758 -2.514 2.905
O -2.404 0.259 7.663
O -3.846 -4.753 9.566
O -0.169 -4.838 5.923
O -6.323 -3.281 5.263
O -2.917 -2.428 6.549
O 3.238 -3.988 7.207
O -2.336 -0.573 4.916
O -3.729 -5.577 6.716
O -0.755 -6.693 7.553
O 0.644 -1.690 5.756
O -1.534 -2.939 4.481
O -3.027 -8.000 6.305
O -3.956 -2.426 4.228
O 2.210 -3.891 4.902
O 0.869 -4.843 8.244
O -5.296 -3.376 7.569
O -1.551 -4.326 7.989
O -0.059 0.733 6.163
```

Entry from the Materials Project database: crystalline Na2TmMoPO8 at its relaxed geometry (PBE+U).

Results
Total energy after the MP2020 corrections, eV per atom: -7.63
Volume, A^3/atom: 14.561
E_form, eV per atom: -2.7818

```
52
Lattice="6.210 -9.502 -1.489 -1.666 -6.131 9.523 -4.946 4.273 -9.399" Properties=species:S:1:pos:R:3 pbc="T T T"
Na -2.626 -3.662 0.615
Na 2.224 -7.698 -1.980
Na -1.968 -5.578 -3.484
Na 4.019 -13.547 6.134
Na 1.566 -5.781 2.120
Na -4.422 2.187 -7.498
Na -1.896 -6.063 3.530
Na 1.494 -5.296 -4.894
Tm 0.393 -7.350 5.987
Tm -0.796 -4.010 -7.351
Tm -1.428 -1.395 -1.908
Tm 1.025 -9.964 0.543
Mo -1.524 -7.280 -0.067
Mo 1.122 -4.080 -1.297
Mo 3.393 -11.896 2.720
Mo -3.796 0.537 -4.085
P -4.872 -1.753 -0.657
P 4.469 -9.606 -0.707
P -1.108 -2.718 -4.662
P 0.706 -8.641 3.298
O -1.414 -2.083 -6.038
O 1.012 -9.276 4.674
O 1.027 -9.768 -1.861
O -0.609 -4.153 -4.951
O -1.429 -1.591 0.497
O 0.207 -7.206 3.586
O -4.754 -2.442 0.722
O 4.352 -8.917 -2.087
O -3.568 -1.976 -1.488
O 3.166 -9.383 0.123
O -2.336 -2.754 -3.699
O -1.027 -6.645 7.822
O 1.934 -8.605 2.334
O 0.624 -4.714 -9.186
O -0.083 -1.842 -3.875
O -0.319 -9.518 2.511
O 0.628 -9.047 7.467
O -1.030 -2.312 -8.831
O -0.573 -3.444 -1.462
O -4.905 -0.887 -3.867
O 0.171 -7.915 0.098
O 4.503 -10.472 2.502
O -2.163 0.161 -3.378
O 1.761 -11.520 2.013
O -1.907 -7.126 -1.799
O 1.505 -4.233 0.435
O -1.639 -5.720 0.784
O -2.132 -3.794 3.347
O 1.237 -5.639 -2.149
O 1.730 -7.566 -4.711
O 3.207 -12.209 4.463
O -3.609 0.850 -5.827
```

Entry from the Materials Project database: crystalline K5SmMo4O16 at its relaxed geometry (PBE+U).

Results
Total energy after the MP2020 corrections, eV per atom: -7.46
Volume, A^3/atom: 17.923
E_form, eV per atom: -2.3564

```
26
Lattice="6.254 0.000 0.000 0.000 7.889 0.000 0.000 2.750 9.445" Properties=species:S:1:pos:R:3 pbc="T T T"
K 3.127 2.038 2.671
K 0.000 6.919 7.710
K 3.127 8.601 6.774
K 0.000 3.721 1.735
K 0.000 0.000 0.000
Sm 3.127 5.320 4.723
Mo 0.000 3.231 5.677
Mo 3.127 5.915 0.930
Mo 0.000 7.408 3.768
Mo 3.127 4.724 8.515
O 1.509 7.032 4.740
O 4.559 2.291 0.094
O 0.000 1.183 3.126
O 3.127 5.823 7.020
O 4.745 7.032 4.740
O 1.695 2.291 0.094
O 4.745 3.607 4.706
O 1.695 8.349 9.351
O 0.000 9.456 6.319
O 3.127 4.817 2.426
O 1.509 3.607 4.706
O 4.559 8.349 9.351
O 3.127 7.596 1.507
O 0.000 4.324 7.057
O 3.127 3.043 7.938
O 0.000 6.315 2.388
```

Entry from the Materials Project database: crystalline Li2Mn3CuO8 at its relaxed geometry (PBE+U).

Results
Energy relative to the lowest polymorph listed for this composition, meV/atom: 19.8
Total energy after the MP2020 corrections, eV per atom: -7.20
Volume, A^3/atom: 10.138
E_form, eV per atom: -1.8405

```
56
Lattice="-7.795 -2.451 -0.670 1.831 -6.942 4.186 -1.831 3.832 7.169" Properties=species:S:1:pos:R:3 pbc="T T T"
Li -0.032 -4.929 6.276
Li -1.958 -2.972 8.334
Li -1.931 -1.390 2.647
Li -4.319 1.574 6.545
Li -4.838 -3.483 6.684
Li -4.960 -6.084 4.436
Li -6.739 -0.700 5.940
Li -6.391 -4.268 1.859
Mn -0.057 -4.149 3.385
Mn -1.872 0.408 7.764
Mn -1.866 1.210 4.905
Mn -1.564 -6.523 4.290
Mn -2.475 -3.801 5.024
Mn -3.370 -1.175 5.784
Mn -4.871 -4.253 9.560
Mn -4.877 -1.879 0.992
Mn -4.857 -2.694 3.857
Mn -7.306 -3.125 8.319
Mn -6.365 -5.853 7.592
Mn -7.296 -1.540 2.641
Cu -7.667 -4.024 5.010
Cu -4.906 -0.862 8.848
Cu -2.896 -6.182 7.451
Cu -0.094 -0.046 0.038
O -1.298 0.372 3.291
O -0.346 -4.110 8.204
O -1.395 -1.152 8.850
O -0.478 -2.668 2.262
O -2.211 1.954 6.693
O -1.542 -0.427 5.986
O -0.579 -3.301 5.013
O 0.215 -5.815 4.395
O -3.664 0.532 4.852
O -3.675 -0.275 7.438
O -1.933 -4.788 3.388
O -2.080 -5.470 5.864
O -2.866 -2.828 6.585
O -3.006 -2.146 4.123
O -3.108 -1.160 1.077
O -3.132 -3.594 9.803
O -5.129 -1.765 5.500
O -4.317 -4.243 4.766
O -3.378 -7.212 4.115
O -6.373 1.174 6.482
O -4.441 -3.396 2.073
O -5.361 -1.107 2.766
O -4.554 -5.179 7.923
O -5.455 -2.681 8.527
O -6.702 -3.151 3.599
O -6.775 -2.365 0.999
O -6.754 -4.801 9.239
O -6.874 -4.220 6.744
O -5.874 -6.798 6.040
O -7.816 -0.617 4.290
O -7.818 -1.624 7.316
O -6.036 -6.135 2.774
```

- Which formula does entry 6 have?
  Li2Mn3CuO8

- What is the formula in the sixth record?
  Li2Mn3CuO8